1.
An optimized crystal structure of USi2Rh2. Source: the Materials Project database, functional PBE.

a b c (Å): 5.801 5.801 5.801
angles (deg): 139.45 139.45 58.69
Fractional positions:
U 0.000 0.000 0.000
Si 0.617 0.617 0.000
Si 0.383 0.383 0.000
Rh 0.250 0.750 0.500
Rh 0.750 0.250 0.500

Properties
* total DFT energy (no corrections): -8.182 eV/atom
* SG: I4/mmm, No. 139
* calculated volume: 81.73 Å³/f.u.
* formation energy from the elements: -0.81 eV/atom

2.
An optimized crystal structure of U2Si5Rh3. Source: the Materials Project database, functional PBE.

a b c (Å): 8.158 8.158 5.756
angles (deg): 69.78 69.78 91.82
Fractional positions:
U 0.865 0.596 0.265
U 0.404 0.135 0.235
U 0.135 0.404 0.735
U 0.596 0.865 0.765
Si 0.057 0.265 0.336
Si 0.735 0.943 0.164
Si 0.943 0.735 0.664
Si 0.265 0.057 0.836
Si 0.211 0.789 0.250
Si 0.789 0.211 0.750
Si 0.511 0.489 0.250
Si 0.489 0.511 0.750
Si 0.779 0.221 0.250
Si 0.221 0.779 0.750
Rh 0.255 0.539 0.124
Rh 0.461 0.745 0.376
Rh 0.745 0.461 0.876
Rh 0.539 0.255 0.624
Rh 0.000 0.000 0.250
Rh 0.000 0.000 0.750

Properties
* total DFT energy (no corrections): -7.873 eV/atom
* SG: C2/c, No. 15
* total moment: 4.273 μB/f.u.
* calculated volume: 166.16 Å³/f.u.
* formation energy from the elements: -0.69 eV/atom

3.
An optimized crystal structure of U2Si5Rh3. Source: the Materials Project database, functional PBE.

a b c (Å): 8.120 8.120 8.120
angles (deg): 138.00 104.83 90.06
Fractional positions:
U 0.403 0.633 0.769
U 0.864 0.133 0.731
U 0.597 0.367 0.231
U 0.136 0.867 0.269
Si 0.500 0.250 0.750
Si 0.500 0.750 0.250
Si 0.222 0.972 0.750
Si 0.778 0.028 0.250
Si 0.739 0.894 0.845
Si 0.050 0.394 0.655
Si 0.261 0.106 0.155
Si 0.950 0.606 0.345
Si 0.778 0.528 0.750
Si 0.222 0.472 0.250
Rh 0.250 0.360 0.890
Rh 0.470 0.860 0.610
Rh 0.530 0.140 0.390
Rh 0.750 0.640 0.110
Rh 0.000 0.750 0.750
Rh 0.000 0.250 0.250

Properties
* total DFT energy (no corrections): -7.881 eV/atom
* SG: Ibam, No. 72
* total moment: 3.932 μB/f.u.
* calculated volume: 165.47 Å³/f.u.
* formation energy from the elements: -0.70 eV/atom

4.
An optimized crystal structure of Y2Si2Rh. Source: the Materials Project database, functional PBE.

a b c (Å): 5.704 5.704 10.097
angles (deg): 63.57 63.57 43.45
Fractional positions:
Y 0.002 0.002 0.324
Y 0.185 0.185 0.891
Y 0.998 0.998 0.676
Y 0.815 0.815 0.109
Si 0.359 0.359 0.565
Si 0.489 0.489 0.880
Si 0.641 0.641 0.435
Si 0.511 0.511 0.120
Rh 0.726 0.726 0.627
Rh 0.274 0.274 0.373

Properties
* total DFT energy (no corrections): -7.206 eV/atom
* SG: C2/m, No. 12
* calculated volume: 99.15 Å³/f.u.
* formation energy from the elements: -0.98 eV/atom

5.
An optimized crystal structure of YSiRh. Source: the Materials Project database, functional PBE.

a b c (Å): 4.249 6.917 7.459
angles (deg): 90.00 90.00 90.00
Fractional positions:
Y 0.750 0.499 0.310
Y 0.250 0.001 0.810
Y 0.750 0.999 0.190
Y 0.250 0.501 0.690
Si 0.250 0.297 0.103
Si 0.250 0.797 0.397
Si 0.750 0.703 0.897
Si 0.750 0.203 0.603
Rh 0.250 0.654 0.070
Rh 0.250 0.154 0.430
Rh 0.750 0.846 0.570
Rh 0.750 0.346 0.930

Properties
* total DFT energy (no corrections): -7.471 eV/atom
* SG: Pnma, No. 62
* calculated volume: 54.80 Å³/f.u.
* formation energy from the elements: -1.05 eV/atom

6.
An optimized crystal structure of YSi2Rh3. Source: the Materials Project database, functional PBE.

a b c (Å): 6.624 6.624 6.624
angles (deg): 130.41 114.21 86.65
Fractional positions:
Y 0.250 0.540 0.290
Y 0.750 0.460 0.710
Si 0.079 0.883 0.804
Si 0.921 0.117 0.196
Si 0.579 0.775 0.196
Si 0.421 0.225 0.804
Rh 0.715 0.000 0.715
Rh 0.215 0.500 0.715
Rh 0.285 0.000 0.285
Rh 0.785 0.500 0.285
Rh 0.000 0.000 0.500
Rh 0.500 0.000 0.000

Properties
* total DFT energy (no corrections): -7.630 eV/atom
* SG: Imma, No. 74
* calculated volume: 96.33 Å³/f.u.
* formation energy from the elements: -1.06 eV/atom

7.
An optimized crystal structure of YSiRh2. Source: the Materials Project database, functional PBE.

a b c (Å): 5.562 5.562 15.161
angles (deg): 90.00 90.00 120.00
Fractional positions:
Y 0.667 0.333 0.963
Y 0.667 0.333 0.537
Y 0.333 0.667 0.037
Y 0.667 0.333 0.750
Y 0.333 0.667 0.463
Y 0.333 0.667 0.250
Si 0.667 0.333 0.250
Si 0.000 0.000 0.500
Si 0.000 0.000 0.250
Si 0.000 0.000 0.750
Si 0.333 0.667 0.750
Si 0.000 0.000 0.000
Rh 0.167 0.333 0.869
Rh 0.167 0.333 0.631
Rh 0.667 0.833 0.869
Rh 0.333 0.167 0.369
Rh 0.833 0.667 0.369
Rh 0.833 0.167 0.369
Rh 0.833 0.167 0.131
Rh 0.333 0.167 0.131
Rh 0.667 0.833 0.631
Rh 0.167 0.833 0.631
Rh 0.833 0.667 0.131
Rh 0.167 0.833 0.869

Properties
* total DFT energy (no corrections): -7.671 eV/atom
* SG: P6_3/mmc, No. 194
* calculated volume: 67.69 Å³/f.u.
* formation energy from the elements: -1.02 eV/atom

8.
An optimized crystal structure of Y2Si3Rh. Source: the Materials Project database, functional PBE.

a b c (Å): 8.180 8.180 7.943
angles (deg): 90.00 90.00 120.00
Fractional positions:
Y 0.000 0.000 0.250
Y 0.000 0.000 0.750
Y 0.509 0.491 0.250
Y 0.509 0.017 0.250
Y 0.983 0.491 0.250
Y 0.491 0.509 0.750
Y 0.491 0.983 0.750
Y 0.017 0.509 0.750
Si 0.167 0.833 0.499
Si 0.167 0.334 0.499
Si 0.666 0.833 0.499
Si 0.833 0.167 0.501
Si 0.833 0.666 0.501
Si 0.334 0.167 0.501
Si 0.833 0.167 0.999
Si 0.833 0.666 0.999
Si 0.334 0.167 0.999
Si 0.167 0.833 0.001
Si 0.167 0.334 0.001
Si 0.666 0.833 0.001
Rh 0.333 0.667 0.468
Rh 0.667 0.333 0.532
Rh 0.667 0.333 0.968
Rh 0.333 0.667 0.032

Properties
* total DFT energy (no corrections): -7.035 eV/atom
* SG: P6_3/mmc, No. 194
* total moment: 0.001 μB/f.u.
* calculated volume: 115.08 Å³/f.u.
* formation energy from the elements: -0.94 eV/atom

9.
An optimized crystal structure of YSi2Rh3. Source: the Materials Project database, functional PBE.

a b c (Å): 3.683 5.531 5.531
angles (deg): 120.00 90.00 90.00
Fractional positions:
Y 0.000 0.000 0.000
Si 0.000 0.667 0.333
Si 0.000 0.333 0.667
Rh 0.500 0.500 0.000
Rh 0.500 0.500 0.500
Rh 0.500 0.000 0.500

Properties
* total DFT energy (no corrections): -7.590 eV/atom
* SG: P6/mmm, No. 191
* total moment: 0.000 μB/f.u.
* calculated volume: 97.57 Å³/f.u.
* formation energy from the elements: -1.02 eV/atom

10.
An optimized crystal structure of Y2Si3Rh. Source: the Materials Project database, functional PBE.

a b c (Å): 8.183 8.183 7.973
angles (deg): 90.00 90.00 120.00
Fractional positions:
Y 0.000 0.000 0.250
Y 0.000 0.000 0.750
Y 0.008 0.504 0.250
Y 0.496 0.504 0.250
Y 0.504 0.008 0.750
Y 0.496 0.992 0.250
Y 0.504 0.496 0.750
Y 0.992 0.496 0.750
Si 0.166 0.333 0.999
Si 0.667 0.834 0.999
Si 0.166 0.333 0.501
Si 0.333 0.166 0.001
Si 0.166 0.834 0.999
Si 0.667 0.834 0.501
Si 0.834 0.667 0.001
Si 0.333 0.166 0.499
Si 0.166 0.834 0.501
Si 0.834 0.667 0.499
Si 0.834 0.166 0.001
Si 0.834 0.166 0.499
Rh 0.333 0.667 0.986
Rh 0.333 0.667 0.514
Rh 0.667 0.333 0.014
Rh 0.667 0.333 0.486

Properties
* total DFT energy (no corrections): -7.029 eV/atom
* SG: P6_3/mmc, No. 194
* total moment: 0.000 μB/f.u.
* calculated volume: 115.60 Å³/f.u.
* formation energy from the elements: -0.93 eV/atom

11.
An optimized crystal structure of Y3Si3Rh2. Source: the Materials Project database, functional PBE.

a b c (Å): 5.757 5.757 13.828
angles (deg): 90.00 90.00 137.36
Fractional positions:
Y 0.921 0.079 0.385
Y 0.079 0.921 0.615
Y 0.921 0.079 0.115
Y 0.079 0.921 0.885
Y 0.642 0.358 0.250
Y 0.358 0.642 0.750
Si 0.611 0.389 0.462
Si 0.389 0.611 0.538
Si 0.611 0.389 0.038
Si 0.389 0.611 0.962
Si 0.334 0.666 0.250
Si 0.666 0.334 0.750
Rh 0.787 0.213 0.918
Rh 0.213 0.787 0.082
Rh 0.787 0.213 0.582
Rh 0.213 0.787 0.418

Properties
* total DFT energy (no corrections): -7.304 eV/atom
* SG: Cmcm, No. 63
* calculated volume: 155.22 Å³/f.u.
* formation energy from the elements: -1.00 eV/atom